(1)
CeMgGa after structural relaxation. Source: the Materials Project, functional PBE.

Structure (POSCAR):
```
CeMgGa
1.0
3.718 -6.439 0.000
3.718 6.439 0.000
0.000 0.000 4.529
Ga Ce Mg
3 3 3
Direct
0.667 0.333 0.500
0.333 0.667 0.500
0.000 0.000 0.000
0.422 0.000 0.000
0.578 0.578 0.000
0.000 0.422 0.000
0.758 0.000 0.500
0.000 0.758 0.500
0.242 0.242 0.500
```

Its crystal system is hexagonal. The space group is P-62m, No. 189. The total energy comes out at -0.2856 Ry per atom. The calculation puts the energy of formation at -0.37 eV per atom.

(2)
CeMg14Ga after structural relaxation. Source: the Materials Project, functional PBE.

Structure (POSCAR):
```
CeMg14Ga
1.0
-1.304 -4.849 3.924
3.976 -0.852 -4.906
7.822 2.653 5.878
Mg Ce Ga
14 1 1
Direct
0.333 0.665 0.865
0.833 0.667 0.362
0.835 0.167 0.865
0.333 0.167 0.865
0.835 0.167 0.385
0.670 0.830 0.625
0.333 0.167 0.385
0.659 0.841 0.125
0.833 0.667 0.888
0.333 0.665 0.385
0.160 0.830 0.625
0.659 0.319 0.125
0.670 0.340 0.625
0.181 0.841 0.125
0.167 0.333 0.125
0.167 0.333 0.625
```

Its crystal system is hexagonal. The space group is P-6m2, No. 187. The total energy comes out at -0.1417 Ry per atom. The calculation puts the excess energy over the best structure of this formula in the dataset at 0.56 eV/f.u. The calculation puts the total magnetic moment at 0.006 μB per atom. The calculation puts the energy of formation at 0.03 eV per atom.